1.
Here is an optimized crystal structure of V3OF11 from Materials Project. Energies are from PBE with a Hubbard U.

a = 5.4583 Å, b = 5.2581 Å, c = 14.8194 Å
α = 90.00°, β = 100.27°, γ = 90.00°
Closest atoms and distances in Å follow each position.
Fractional positions:
V 0.0432 0.0000 0.1635  1 O 1.65, 2 F 1.77
V 0.2501 0.4763 0.5001  6 F 1.77-1.97
V 0.4276 0.9833 0.8327  4 F 1.77-1.97
V 0.5724 0.4833 0.1673  4 F 1.77-1.97
V 0.7499 0.9763 0.4999  6 F 1.77-1.97
V 0.9568 0.5000 0.8365  1 O 1.65, 2 F 1.77
O 0.2085 0.6807 0.8558  1 V 1.65
O 0.7915 0.1807 0.1442  1 V 1.65
F 0.0514 0.8820 0.0519  1 V 1.77
F 0.0616 0.7793 0.5248  2 V 1.97
F 0.1124 0.1883 0.8091  2 V 1.92-2.01
F 0.1443 0.0488 0.2823  1 V 1.77
F 0.2083 0.5615 0.3829  1 V 1.77
F 0.2727 0.2668 0.1415  2 V 1.95-1.97
F 0.2893 0.3886 0.6169  1 V 1.77
F 0.3689 0.8878 0.7163  1 V 1.77
F 0.3894 0.7697 0.1900  1 V 1.87
F 0.4389 0.1728 0.4753  2 V 1.97
F 0.4545 0.0532 0.9510  1 V 1.77
F 0.5455 0.5532 0.0490  1 V 1.77
F 0.5611 0.6728 0.5247  2 V 1.97
F 0.6106 0.2697 0.8100  1 V 1.87
F 0.6311 0.3878 0.2837  1 V 1.77
F 0.7107 0.8886 0.3831  1 V 1.77
F 0.7273 0.7668 0.8585  2 V 1.95-1.97
F 0.7917 0.0615 0.6171  1 V 1.77
F 0.8557 0.5488 0.7177  1 V 1.77
F 0.8876 0.6883 0.1909  2 V 1.92-2.01
F 0.9384 0.2793 0.4752  2 V 1.97
F 0.9486 0.3820 0.9481  1 V 1.77

Its space-group type is P2_1, No. 4. The calculation puts the total energy at -171.506 eV for the cell shown. The calculation puts the density at 3.00 g/cm³.

---

2.
Here is an optimized crystal structure of Sr2CaMoO6 from Materials Project. Energies are from PBE with a Hubbard U.

a = 5.8088 Å, b = 5.9555 Å, c = 10.0977 Å
α = 90.00°, β = 124.94°, γ = 90.00°
Closest atoms and distances in Å follow each position.
Fractional positions:
Sr 0.2413 0.0457 0.2518  6 O 2.51-2.81
Sr 0.2413 0.4543 0.7518  6 O 2.51-2.81
Sr 0.7587 0.5457 0.2482  6 O 2.51-2.81
Sr 0.7587 0.9543 0.7482  6 O 2.51-2.81
Ca 0.5000 0.0000 0.0000  6 O 2.32-2.34
Ca 0.5000 0.5000 0.5000  6 O 2.32-2.34
Mo 0.0000 0.0000 0.5000  6 O 1.95-1.96
Mo 0.0000 0.5000 0.0000  6 O 1.95-1.96
O 0.1322 0.2309 0.9498  1 Mo 1.96
O 0.1322 0.2691 0.4498  1 Mo 1.96
O 0.2296 0.6866 0.9589  1 Mo 1.95
O 0.2296 0.8134 0.4589  1 Mo 1.95
O 0.3130 0.0301 0.7272  1 Mo 1.96
O 0.3130 0.4699 0.2272  1 Mo 1.96
O 0.6870 0.5301 0.7728  1 Mo 1.96
O 0.6870 0.9699 0.2728  1 Mo 1.96
O 0.7704 0.1866 0.5411  1 Mo 1.95
O 0.7704 0.3134 0.0411  1 Mo 1.95
O 0.8678 0.7309 0.5502  1 Mo 1.96
O 0.8678 0.7691 0.0502  1 Mo 1.96

Its space-group type is P2_1/c, No. 14. The calculation puts the total energy at -135.590 eV for the cell shown. The calculation puts the density at 4.72 g/cm³.

---

3.
Here is an optimized crystal structure of Mg6CoSnO8 from Materials Project. Energies are from PBE with a Hubbard U.

a = 4.3613 Å, b = 4.3613 Å, c = 8.8433 Å
α = 90.00°, β = 90.00°, γ = 90.00°
Closest atoms and distances in Å follow each position.
Fractional positions:
Mg 0.0000 0.0000 0.0000  6 O 2.08-2.18
Mg 0.0000 0.5000 0.2402  6 O 2.12-2.30
Mg 0.0000 0.5000 0.7598  6 O 2.12-2.30
Mg 0.5000 0.0000 0.2402  6 O 2.12-2.30
Mg 0.5000 0.0000 0.7598  6 O 2.12-2.30
Mg 0.5000 0.5000 0.0000  6 O 2.10-2.18
Co 0.0000 0.0000 0.5000  6 O 2.18-2.34
Sn 0.5000 0.5000 0.5000  6 O 2.18-2.32
O 0.0000 0.0000 0.2351  5 Mg 2.08-2.18
O 0.0000 0.0000 0.7649  5 Mg 2.08-2.18
O 0.0000 0.5000 0.0000  6 Mg 2.12-2.18
O 0.0000 0.5000 0.5000  2 Sn 2.18, 2 Co 2.18, 2 Mg 2.30
O 0.5000 0.0000 0.0000  6 Mg 2.12-2.18
O 0.5000 0.0000 0.5000  2 Sn 2.18, 2 Co 2.18, 2 Mg 2.30
O 0.5000 0.5000 0.2371  5 Mg 2.10-2.18, 1 Sn 2.32
O 0.5000 0.5000 0.7629  5 Mg 2.10-2.18, 1 Sn 2.32

Its space-group type is P4/mmm, No. 123. The calculation puts the total energy at -92.723 eV for the cell shown. The calculation puts the density at 4.46 g/cm³.

---

4.
Here is an optimized crystal structure of W3Se2ClO8 from Materials Project. Energies are from PBE with a Hubbard U.

a = 5.7984 Å, b = 11.6760 Å, c = 8.5763 Å
α = 90.00°, β = 90.05°, γ = 90.00°
Closest atoms and distances in Å follow each position.
Fractional positions:
W 0.0000 0.0000 0.0000  4 O 2.14
W 0.2523 0.2506 0.7833  4 O 2.03-2.07
W 0.2523 0.7494 0.7833  4 O 2.03-2.07
W 0.4782 0.5000 0.5603  4 O 2.16
W 0.7532 0.2517 0.7837  4 O 2.05-2.06
W 0.7532 0.7483 0.7837  4 O 2.05-2.06
Se 0.0041 0.2785 0.1394  3 O 1.72-1.75
Se 0.0041 0.7215 0.1394  3 O 1.72-1.75
Se 0.5035 0.2192 0.4284  3 O 1.72-1.75
Se 0.5035 0.7808 0.4284  3 O 1.72-1.75
Cl 0.0415 0.5000 0.5583  1 W 2.53
Cl 0.5061 0.0000 0.9786  2 W 2.87-2.94
O 0.0035 0.1328 0.1718  1 Se 1.72
O 0.0035 0.8672 0.1718  1 Se 1.72
O 0.0052 0.1323 0.8277  3 W 2.03-2.14
O 0.0052 0.8677 0.8277  3 W 2.03-2.14
O 0.2387 0.2993 0.0149  1 Se 1.75
O 0.2387 0.7007 0.0149  1 Se 1.75
O 0.2685 0.2013 0.5530  1 Se 1.74
O 0.2685 0.7987 0.5530  1 Se 1.74
O 0.4986 0.3692 0.7376  3 W 2.03-2.16
O 0.4986 0.6308 0.7376  3 W 2.03-2.16
O 0.5031 0.3636 0.3914  1 Se 1.72
O 0.5031 0.6364 0.3914  1 Se 1.72
O 0.7390 0.2023 0.5533  1 Se 1.75
O 0.7390 0.7977 0.5533  1 Se 1.75
O 0.7688 0.2993 0.0152  1 Se 1.75
O 0.7688 0.7007 0.0152  1 Se 1.75

Its space-group type is Pm, No. 6. The calculation puts the total energy at -168.802 eV for the cell shown. The calculation puts the density at 4.99 g/cm³.

---

5.
Here is an optimized crystal structure of MgFe8O8F8 from Materials Project. Energies are from PBE with a Hubbard U.

a = 3.0476 Å, b = 9.8075 Å, c = 9.8917 Å
α = 89.54°, β = 89.89°, γ = 89.80°
Closest atoms and distances in Å follow each position.
Fractional positions:
Mg 0.0000 0.0000 0.0000  4 O 1.96-2.15, 1 F 2.00
Fe 0.0060 0.2467 0.5026  3 O 1.91-1.93, 2 F 2.13
Fe 0.0147 0.7679 0.4826  3 O 1.91-1.97, 2 F 2.12-2.13
Fe 0.0170 0.7262 0.0307  3 O 1.85-1.99
Fe 0.0279 0.2644 0.0232  3 F 2.10-2.13, 2 O 2.12-2.27
Fe 0.5033 0.0386 0.7389  3 O 1.92-1.96
Fe 0.5088 0.0285 0.2826  5 O 1.93-2.04
Fe 0.5206 0.5296 0.2752  3 O 1.91-1.96, 3 F 2.08-2.13
Fe 0.5227 0.5075 0.7484  6 F 2.05-2.14
O 0.0033 0.1234 0.6562  3 Fe 1.92-1.93
O 0.0096 0.1042 0.1676  1 Mg 1.96, 3 Fe 2.04-2.12
O 0.0105 0.9148 0.3540  3 Fe 1.91-2.01
O 0.0209 0.6034 0.1743  3 Fe 1.85-1.96
O 0.5031 0.1204 0.9186  1 Fe 1.96, 2 Mg 2.08-2.09
O 0.5075 0.1739 0.4124  3 Fe 1.91-1.93
O 0.5124 0.8523 0.0589  2 Fe 1.98-1.99, 2 Mg 2.15-2.20
O 0.5170 0.6617 0.4157  3 Fe 1.91-1.97
F 0.0071 0.9055 0.8212  1 Mg 2.00, 2 Fe 2.16-2.17
F 0.0177 0.4171 0.3681  3 Fe 2.08-2.13
F 0.0203 0.6241 0.6588  3 Fe 2.09-2.23
F 0.0236 0.3998 0.8577  3 Fe 2.10-2.14
F 0.5078 0.3659 0.5976  3 Fe 2.05-2.15
F 0.5103 0.8651 0.5969  3 Fe 2.12-2.22
F 0.5220 0.6360 0.9161  3 Fe 2.09-2.11
F 0.5261 0.3725 0.1284  3 Fe 2.13

Its space-group type is P1, No. 1. The calculation puts the total energy at -149.990 eV for the cell shown. The calculation puts the density at 4.22 g/cm³.

---

6.
Here is an optimized crystal structure of La3MgTi3CrO12 from Materials Project. Energies are from PBE with a Hubbard U.

a = 5.4938 Å, b = 5.5338 Å, c = 7.9118 Å
α = 90.22°, β = 90.05°, γ = 90.29°
Closest atoms and distances in Å follow each position.
Fractional positions:
La 0.0000 0.0000 0.0000  8 O 2.44-2.72
La 0.0128 0.0805 0.5028  8 O 2.45-2.61
La 0.4983 0.5760 0.5005  4 O 2.38-2.45
Mg 0.4970 0.5149 0.9944  4 O 2.10-2.25
Ti 0.0025 0.5376 0.2426  6 O 1.98-2.09
Ti 0.5032 0.0423 0.2443  6 O 1.98-2.09
Ti 0.5048 0.0462 0.7584  6 O 1.97-2.07
Cr 0.0050 0.5400 0.7571  6 O 2.00-2.07
O 0.1173 0.5491 0.0006  1 Ti 2.02, 1 Cr 2.02, 1 Mg 2.10
O 0.2027 0.8340 0.2793  2 Ti 1.99-2.03
O 0.2066 0.8397 0.7235  1 Cr 2.01, 1 Ti 2.01
O 0.2888 0.3247 0.2982  2 Ti 2.01-2.02
O 0.2955 0.3289 0.7019  1 Ti 2.00, 1 Cr 2.03
O 0.4459 0.1109 0.9994  2 Ti 1.97-2.00
O 0.5707 0.0132 0.5022  2 Ti 2.07-2.08
O 0.6925 0.7254 0.1889  2 Ti 2.04-2.09, 1 Mg 2.20
O 0.6932 0.7329 0.8136  1 Cr 2.07, 1 Ti 2.07, 1 Mg 2.16
O 0.8076 0.2354 0.2277  2 Ti 1.98
O 0.8091 0.2353 0.7765  1 Ti 1.97, 1 Cr 2.00
O 0.9311 0.5450 0.5021  1 Cr 2.06, 1 Ti 2.09

Its space-group type is P1, No. 1. The calculation puts the total energy at -167.296 eV for the cell shown. The calculation puts the density at 5.72 g/cm³.

---

7.
Here is an optimized crystal structure of Ca2MnAl2Si3O13 from Materials Project. Energies are from PBE with a Hubbard U.

a = 8.9167 Å, b = 5.7579 Å, c = 10.3593 Å
α = 90.00°, β = 113.72°, γ = 90.00°
Closest atoms and distances in Å follow each position.
Fractional positions:
Ca 0.1071 0.2500 0.3435  6 O 2.31-2.55
Ca 0.2940 0.7500 0.9177  2 O 2.27-2.30
Ca 0.7060 0.2500 0.0823  2 O 2.27-2.30
Ca 0.8929 0.7500 0.6565  6 O 2.31-2.55
Mn 0.5000 0.0000 0.5000  6 O 1.91-2.05
Mn 0.5000 0.5000 0.5000  6 O 1.91-2.05
Al 0.0000 0.0000 0.0000  6 O 1.84-2.03
Al 0.0000 0.5000 0.0000  6 O 1.84-2.03
Al 0.4513 0.2500 0.7505  4 O 1.76-1.85
Al 0.5487 0.7500 0.2495  4 O 1.76-1.85
Si 0.0880 0.2500 0.7668  4 O 1.62-1.66
Si 0.2014 0.7500 0.5433  4 O 1.59-1.66
Si 0.3690 0.2500 0.1776  4 O 1.64-1.71
Si 0.6310 0.7500 0.8224  4 O 1.64-1.71
Si 0.7986 0.2500 0.4567  4 O 1.59-1.66
Si 0.9120 0.7500 0.2332  4 O 1.62-1.66
O 0.0232 0.7500 0.4056  2 Si 1.65-1.66
O 0.0395 0.0177 0.8326  1 Si 1.64
O 0.0395 0.4823 0.8326  1 Si 1.64
O 0.1400 0.7500 0.0502  2 Al 1.84
O 0.1617 0.7500 0.6796  1 Si 1.59
O 0.1698 0.2500 0.0920  1 Si 1.64
O 0.2799 0.2500 0.7949  1 Si 1.62, 1 Al 1.76
O 0.2997 0.5100 0.5334  1 Si 1.66
O 0.2997 0.9900 0.5334  1 Si 1.66
O 0.3958 0.2500 0.3502  1 Si 1.71
O 0.4384 0.7500 0.3673  1 Al 1.85, 2 Mn 1.91
O 0.4562 0.0151 0.1475  1 Si 1.65
O 0.4562 0.4849 0.1475  1 Si 1.65
O 0.5438 0.5151 0.8525  1 Si 1.65
O 0.5438 0.9849 0.8525  1 Si 1.65
O 0.5616 0.2500 0.6327  1 Al 1.85, 2 Mn 1.91
O 0.6042 0.7500 0.6498  1 Si 1.71
O 0.7003 0.0100 0.4666  1 Si 1.66
O 0.7003 0.4900 0.4666  1 Si 1.66
O 0.7201 0.7500 0.2051  1 Si 1.62, 1 Al 1.76
O 0.8302 0.7500 0.9080  1 Si 1.64
O 0.8383 0.2500 0.3204  1 Si 1.59
O 0.8600 0.2500 0.9498  2 Al 1.84
O 0.9605 0.5177 0.1674  1 Si 1.64
O 0.9605 0.9823 0.1674  1 Si 1.64
O 0.9768 0.2500 0.5944  2 Si 1.65-1.66

Its space-group type is P2_1/m, No. 11. The calculation puts the total energy at -312.458 eV for the cell shown. The calculation puts the density at 3.28 g/cm³.

---

8.
Here is an optimized crystal structure of LaFeO3 from Materials Project. Energies are from PBE with a Hubbard U.

a = 3.9572 Å, b = 3.9572 Å, c = 3.9572 Å
α = 90.00°, β = 90.00°, γ = 90.00°
Closest atoms and distances in Å follow each position.
Fractional positions:
La 0.0000 0.0000 0.0000  12 O 2.80
Fe 0.5000 0.5000 0.5000  6 O 1.98
O 0.0000 0.5000 0.5000  2 Fe 1.98
O 0.5000 0.0000 0.5000  2 Fe 1.98
O 0.5000 0.5000 0.0000  2 Fe 1.98

Its space-group type is Pm-3m, No. 221. The calculation puts the total energy at -37.547 eV for the cell shown. The calculation puts the density at 6.51 g/cm³.